1.
The following is a GGA+U calculation of crystalline VRuN6F6 at its relaxed geometry, from the Materials Project database.

Geometry as POSCAR:
```
VRuN6F6
1.0
9.6263 0.0000 0.0000
0.0000 9.6263 0.0000
0.0000 0.0000 9.6263
V Ru N F
4 4 24 24
Cartesian
0.0000 0.0000 0.0000
0.0000 4.8132 4.8132
4.8132 0.0000 4.8132
4.8132 4.8132 0.0000
0.0000 0.0000 4.8132
0.0000 4.8132 0.0000
4.8132 0.0000 0.0000
4.8132 4.8132 4.8132
0.5555 1.1037 6.3108
0.5555 3.7095 1.4976
1.1037 6.3108 0.5555
1.1037 8.1287 5.3686
1.4976 0.5555 3.7095
1.4976 4.2577 8.5226
3.3155 5.3686 3.7095
3.3155 9.0709 8.5226
3.7095 1.4976 0.5555
3.7095 3.3155 5.3686
4.2577 5.9168 6.3108
4.2577 8.5226 1.4976
5.3686 1.1037 8.1287
5.3686 3.7095 3.3155
5.9168 6.3108 4.2577
5.9168 8.1287 9.0709
6.3108 0.5555 1.1037
6.3108 4.2577 5.9168
8.1287 5.3686 1.1037
8.1287 9.0709 5.9168
8.5226 1.4976 4.2577
8.5226 3.3155 9.0709
9.0709 5.9168 8.1287
9.0709 8.5226 3.3155
0.5962 5.9844 3.5573
0.5962 8.4551 8.3704
1.1712 1.2559 9.0301
1.1712 3.5573 4.2169
1.2559 5.4094 5.9844
1.2559 9.0301 1.1712
3.5573 0.5962 5.9844
3.5573 4.2169 1.1712
3.6419 6.0690 9.0301
3.6419 8.3704 4.2169
4.2169 1.1712 3.5573
4.2169 3.6419 8.3704
5.4094 5.9844 1.2559
5.4094 8.4551 6.0690
5.9844 1.2559 5.4094
5.9844 3.5573 0.5962
6.0690 5.4094 8.4551
6.0690 9.0301 3.6419
8.3704 0.5962 8.4551
8.3704 4.2169 3.6419
8.4551 6.0690 5.4094
8.4551 8.3704 0.5962
9.0301 1.1712 1.2559
9.0301 3.6419 6.0690
```

magnetization: 11.04 μB per formula unit
space group: Pa-3 (205)

=====

2.
The following is a GGA+U calculation of crystalline VN3F6 at its relaxed geometry, from the Materials Project database.

Geometry as POSCAR:
```
VN3F6
1.0
0.0000 4.3279 4.3279
4.3279 0.0000 4.3279
4.3279 4.3279 0.0000
V N F
1 3 6
Cartesian
0.0000 0.0000 0.0000
2.1640 2.1640 2.1640
4.3279 4.3279 4.3279
6.4919 6.4919 6.4919
4.3279 4.3279 1.8192
4.3279 1.8192 4.3279
6.8366 4.3279 4.3279
1.8192 4.3279 4.3279
4.3279 6.8366 4.3279
4.3279 4.3279 6.8366
```

magnetization: 8.01 μB per formula unit
space group: Fm-3m (225)

=====

3.
The following is a GGA+U calculation of crystalline VN2F6 at its relaxed geometry, from the Materials Project database.

Geometry as POSCAR:
```
VN2F6
1.0
0.0000 3.9976 3.9976
3.9976 0.0000 3.9976
3.9976 3.9976 0.0000
V N F
1 2 6
Cartesian
0.0000 0.0000 0.0000
1.9988 1.9988 1.9988
5.9965 5.9965 5.9965
3.9976 3.9976 1.8165
3.9976 1.8165 3.9976
6.1788 3.9976 3.9976
1.8165 3.9976 3.9976
3.9976 6.1788 3.9976
3.9976 3.9976 6.1788
```

magnetization: 5.00 μB per formula unit
space group: Fm-3m (225)

=====

4.
The following is a GGA+U calculation of crystalline WN3F6 at its relaxed geometry, from the Materials Project database.

Geometry as POSCAR:
```
WN3F6
1.0
0.0000 4.8863 4.8863
4.8863 0.0000 4.8863
4.8863 4.8863 0.0000
W N F
1 3 6
Cartesian
0.0000 0.0000 0.0000
2.4431 2.4431 2.4431
4.8863 4.8863 4.8863
7.3294 7.3294 7.3294
4.8863 4.8863 1.8801
4.8863 1.8801 4.8863
7.8925 4.8863 4.8863
1.8801 4.8863 4.8863
4.8863 7.8925 4.8863
4.8863 4.8863 7.8925
```

magnetization: 9.00 μB per formula unit
space group: Fm-3m (225)

=====

5.
The following is a GGA+U calculation of crystalline Na3NiF6 at its relaxed geometry, from the Materials Project database.

Geometry as POSCAR:
```
Na3NiF6
1.0
0.0000 4.0516 4.0516
4.0516 0.0000 4.0516
4.0516 4.0516 0.0000
Na Ni F
3 1 6
Cartesian
0.0000 0.0000 0.0000
2.0258 2.0258 2.0258
6.0774 6.0774 6.0774
4.0516 4.0516 4.0516
4.0516 4.0516 2.1714
4.0516 2.1714 4.0516
5.9318 4.0516 4.0516
2.1714 4.0516 4.0516
4.0516 5.9318 4.0516
4.0516 4.0516 5.9318
```

space group: Fm-3m (225)

=====

6.
The following is a GGA+U calculation of crystalline Na3NiF6 at its relaxed geometry, from the Materials Project database.

Geometry as POSCAR:
```
Na3NiF6
1.0
5.5124 0.0000 0.0000
0.0000 5.7827 0.0000
-5.4199 0.0000 7.9679
Na Ni F
6 2 12
Cartesian
0.0000 0.0000 0.0000
-2.7100 2.8913 3.9840
-2.8040 0.3422 5.9151
-0.0940 2.5492 1.9312
0.1865 3.2335 6.0368
2.8965 5.4405 2.0528
0.0462 0.0000 3.9840
2.7562 2.8913 0.0000
-1.5117 1.0349 3.5952
-4.2217 1.8565 7.5792
-0.9013 4.2085 3.3765
-3.6113 4.4655 7.3605
0.6820 0.3442 2.2046
-2.0279 2.5471 6.1885
2.1204 3.2355 1.7794
-0.5895 5.4385 5.7634
3.7038 1.3172 0.6075
0.9938 1.5741 4.5914
4.3142 3.9262 0.3887
1.6042 4.7478 4.3727
```

space group: P2_1/c (14)

=====

7.
The following is a GGA+U calculation of crystalline Na4NiP2O7F2 at its relaxed geometry, from the Materials Project database.

Geometry as POSCAR:
```
Na4NiP2O7F2
1.0
0.0001 7.1574 0.0000
7.5753 3.5788 3.9302
7.5754 3.5788 -11.7908
F O Na Ni P
8 28 16 4 8
Cartesian
7.5754 5.3682 -3.0174
7.5754 8.9468 3.0173
3.7877 1.7894 1.9651
11.3631 8.9468 -5.8954
3.7877 1.7894 -5.8954
3.7877 5.3681 -1.9651
7.5755 5.3681 -10.8779
7.5755 8.9467 -4.8431
12.6589 12.5256 -4.5343
6.0578 3.0710 -2.5842
9.0931 6.6496 -5.2765
1.5178 7.6652 -1.3461
5.0835 5.3681 0.6039
1.5176 3.0709 -1.3462
6.0577 6.6496 -5.2764
10.0674 8.9469 -8.4645
5.0835 5.3680 -7.2566
2.4919 1.7894 -3.3263
9.0931 7.6654 -2.5841
6.0577 6.6497 2.5840
9.0932 7.6653 -10.4446
9.0931 10.2285 -2.5841
13.6332 11.2440 -6.5144
10.0673 5.3682 -7.2565
7.5755 8.9468 -8.8179
5.0835 8.9467 -0.6040
10.0674 8.9469 -0.6040
6.0578 4.0864 -5.2764
9.0931 11.2439 -5.2764
13.6331 6.6497 -6.5145
7.5754 8.9468 -0.9574
7.5754 5.3681 0.9574
9.0932 10.2284 -10.4446
6.0576 4.0866 2.5841
6.0578 7.6653 -2.5841
7.5755 5.3681 -6.9031
5.8903 8.9467 1.5835
11.1142 10.7362 -3.9303
1.6851 5.3680 -2.3468
4.0367 3.5787 -3.9302
4.0367 7.1574 -3.9302
3.5388 7.1574 0.0000
3.5387 3.5788 0.0000
5.8904 5.3681 -1.5834
11.6121 10.7362 -7.8605
11.6121 7.1575 -7.8605
11.1141 7.1575 -3.9303
9.2605 5.3683 -1.5836
9.2606 5.3682 -9.4441
5.8904 8.9467 -6.2770
13.4658 8.9470 -5.5137
9.2605 8.9468 -6.2771
7.5754 7.1575 -3.9303
7.5754 3.5788 -3.9303
0.0000 0.0000 0.0000
0.0001 3.5787 0.0000
9.0469 5.3681 -6.1312
1.4716 1.7893 -2.2009
6.1039 8.9469 -1.7294
6.1038 5.3681 1.7294
6.1039 5.3680 -6.1311
9.0471 8.9468 -9.5899
13.6793 12.5256 -5.6597
9.0470 8.9469 -1.7294
```

magnetization: 0.00 μB per formula unit

=====

8.
The following is a GGA+U calculation of crystalline Na2NiPO4F at its relaxed geometry, from the Materials Project database.

Geometry as POSCAR:
```
Na2NiPO4F
1.0
13.6045 0.0000 0.0000
0.0000 5.2626 0.0000
-7.0434 0.0000 11.9430
Na Ni P O F
16 8 8 32 8
Cartesian
-1.7973 1.2074 4.9165
-5.3190 1.4239 10.8880
1.7487 3.8864 0.9644
-1.7730 4.0076 6.9359
-0.1746 1.2606 7.9009
3.3472 1.3707 1.9294
1.5960 3.9019 6.9513
5.1177 3.9921 0.9798
1.4433 1.2706 10.9632
4.9650 1.3608 4.9917
3.2139 3.8919 10.0136
6.7356 4.0020 4.0421
8.3341 1.2550 5.0071
4.8123 1.3763 10.9786
11.8801 3.8388 1.0550
8.3584 4.0552 7.0265
-0.0670 3.7615 4.1901
-3.5887 4.1325 10.1616
-2.1185 1.1676 11.0430
1.4032 1.4638 5.0715
5.1578 3.7989 6.8716
8.6795 4.0951 0.9000
10.1498 1.1302 1.7814
6.6281 1.5011 7.7529
-0.0496 1.0541 2.1129
-3.5713 1.5773 8.0844
-0.3057 3.7180 10.0202
3.2160 4.1759 4.0486
3.3451 1.0867 7.8944
6.8668 1.5446 1.9229
10.1323 3.6854 3.8586
6.6106 4.2086 9.8301
-5.6147 3.8793 10.4769
-2.0929 4.0146 4.5054
-3.4771 3.1162 8.3754
0.0446 4.7777 2.4039
-2.4435 1.1415 7.1398
1.0783 1.4898 1.1683
-3.4785 0.8224 9.4575
0.0433 1.8089 3.4860
1.9732 3.4099 4.6226
-1.5485 4.4840 10.5941
3.4826 3.7622 2.5942
-0.0392 4.1317 8.5657
2.9208 0.4524 4.1336
-0.6009 2.1789 10.1051
5.6204 1.2112 1.0513
2.0987 1.4201 7.0228
4.4624 3.8425 4.9202
0.9407 4.0515 10.8917
7.1620 3.0838 1.8379
3.6403 4.8102 7.8094
6.6002 1.1309 3.3773
3.0785 1.5004 9.3488
8.1095 0.7786 1.3489
4.5878 1.8527 7.3204
6.5178 3.4538 8.4571
10.0395 4.4402 2.4856
5.4828 3.7728 10.7747
9.0045 4.1212 4.8032
6.5165 0.4849 9.5391
10.0382 2.1464 3.5676
8.6540 1.2480 7.4376
12.1757 1.3833 1.4661
-3.6639 0.0221 11.9232
-0.1422 2.6093 5.9517
-3.4062 2.6565 11.5865
0.1155 5.2374 5.6150
6.4456 0.0252 6.3280
9.9673 2.6061 0.3565
6.7032 2.6534 5.9913
10.2249 5.2406 0.0198
```

space group: P2_1/c (14)

=====

Number 1: energy of formation 40 kJ/mol of atoms, energy -69.61 eV per formula unit. Number 2: energy of formation -16 kJ/mol of atoms, energy -42.80 eV per formula unit. Number 3: energy of formation -71 kJ/mol of atoms, energy -39.43 eV per formula unit. Number 4: energy of formation -39 kJ/mol of atoms, energy -46.26 eV per formula unit. Number 5: energy of formation -240 kJ/mol of atoms, energy -40.78 eV per formula unit. Number 6: energy of formation -251 kJ/mol of atoms, energy -41.90 eV per formula unit. Number 7: energy of formation -250 kJ/mol of atoms, energy -93.48 eV per formula unit. Number 8: energy of formation -237 kJ/mol of atoms, energy -51.95 eV per formula unit.